(1)
DFT (PBE) results for a relaxed structure of CeAl2Zn2. Values from VASP.

Computed properties:
The formation energy is -1.91 eV/f.u.

Cell and atoms, written as Quantum ESPRESSO input:
```
&SYSTEM
  ibrav = 0, nat = 5, ntyp = 3
/
ATOMIC_SPECIES
Al 26.98 Al.upf
Ce 140.12 Ce.upf
Zn 65.41 Zn.upf
ATOMIC_POSITIONS crystal
Al 0.7500 0.2500 0.5000
Al 0.2500 0.7500 0.5000
Ce 0.0000 0.0000 0.0000
Zn 0.3882 0.3882 0.0000
Zn 0.6118 0.6118 0.0000
CELL_PARAMETERS angstrom
-2.1016 2.1016 5.4647
2.1016 -2.1016 5.4647
2.1016 2.1016 -5.4647
```



(2)
DFT (PBE) results for a relaxed structure of LiCrP2S7. Values from VASP.

Computed properties:
The calculation puts the magnetization at 0.2727 μB per atom. The formation energy is -8.26 eV/f.u.

Cell and atoms, written as Quantum ESPRESSO input:
```
&SYSTEM
  ibrav = 0, nat = 11, ntyp = 4
/
ATOMIC_SPECIES
S 32.06 S.upf
Li 6.94 Li.upf
P 30.97 P.upf
Cr 52.00 Cr.upf
ATOMIC_POSITIONS crystal
S 0.4863 0.1514 0.1878
S 0.3698 0.3234 0.7122
S 0.5032 0.8393 0.7613
S 0.0352 0.9648 0.0000
S 0.8486 0.5137 0.8122
S 0.6766 0.6302 0.2878
S 0.1607 0.4968 0.2387
Li 0.8922 0.1078 0.5000
P 0.9458 0.6322 0.0815
P 0.3678 0.0542 0.9185
Cr 0.4980 0.5020 0.0000
CELL_PARAMETERS angstrom
1.7997 -5.9280 2.0506
5.9090 2.7693 -0.0136
0.2334 1.3096 5.9826
```



(3)
DFT (PBE) results for a relaxed structure of Ho3Se4O12F. Values from VASP.

Computed properties:
The calculation puts the magnetization at 0.0000 μB per atom. The formation energy is -49.67 eV/f.u.

Cell and atoms, written as Quantum ESPRESSO input:
```
&SYSTEM
  ibrav = 0, nat = 40, ntyp = 4
/
ATOMIC_SPECIES
Se 78.96 Se.upf
Ho 164.93 Ho.upf
O 16.00 O.upf
F 19.00 F.upf
ATOMIC_POSITIONS crystal
Se 0.1548 0.3095 0.4356
Se 0.1548 0.8452 0.4356
Se 0.8452 0.1548 0.9356
Se 0.8452 0.6905 0.9356
Se 0.3095 0.1548 0.9356
Se 0.6667 0.3333 0.2683
Se 0.6905 0.8452 0.4356
Se 0.3333 0.6667 0.7683
Ho 0.0757 0.5379 0.2027
Ho 0.4621 0.9243 0.2027
Ho 0.4621 0.5379 0.2027
Ho 0.9243 0.4621 0.7027
Ho 0.5379 0.4621 0.7027
Ho 0.5379 0.0757 0.7027
O 0.4170 0.0803 0.0056
O 0.6358 0.8179 0.1947
O 0.1612 0.5806 0.8819
O 0.0803 0.6634 0.5056
O 0.9197 0.5830 0.0056
O 0.8388 0.4194 0.3819
O 0.3366 0.4170 0.5056
O 0.3642 0.1821 0.6947
O 0.3366 0.9197 0.5056
O 0.5830 0.6634 0.5056
O 0.6634 0.5830 0.0056
O 0.1821 0.3642 0.1947
O 0.5806 0.4194 0.3819
O 0.4194 0.5806 0.8819
O 0.8179 0.1821 0.6947
O 0.5830 0.9197 0.5056
O 0.1821 0.8179 0.1947
O 0.5806 0.1612 0.3819
O 0.4170 0.3366 0.0056
O 0.0803 0.4170 0.5056
O 0.9197 0.3366 0.0056
O 0.4194 0.8388 0.8819
O 0.8179 0.6358 0.6947
O 0.6634 0.0803 0.0056
F 0.6667 0.3333 0.7488
F 0.3333 0.6667 0.2488
CELL_PARAMETERS angstrom
5.2175 -9.0370 0.0000
5.2175 9.0370 0.0000
0.0000 0.0000 6.8449
```



(4)
DFT (PBE) results for a relaxed structure of GdCr2Fe10. Values from VASP.

Computed properties:
The calculation puts the magnetization at 1.2496 μB per atom. The formation energy is 5.36 eV/f.u.

Cell and atoms, written as Quantum ESPRESSO input:
```
&SYSTEM
  ibrav = 0, nat = 13, ntyp = 3
/
ATOMIC_SPECIES
Cr 52.00 Cr.upf
Gd 157.25 Gd.upf
Fe 55.84 Fe.upf
ATOMIC_POSITIONS crystal
Cr 0.0000 0.6332 0.6333
Cr 0.0000 0.3667 0.3667
Gd 0.9999 0.0001 0.9999
Fe 0.2739 0.2260 0.7739
Fe 0.5001 0.2289 0.2290
Fe 0.0000 0.5000 0.0000
Fe 0.7261 0.7740 0.2261
Fe 0.0000 0.0000 0.5000
Fe 0.5000 0.0000 0.5000
Fe 0.6420 0.3583 0.6418
Fe 0.4999 0.7711 0.7710
Fe 0.5000 0.5000 0.0000
Fe 0.3580 0.6417 0.3583
CELL_PARAMETERS angstrom
-2.3280 -4.0374 0.5052
2.6089 -4.6532 -3.5322
4.7240 0.5269 4.3137
```



(5)
DFT (PBE) results for a relaxed structure of CsRbMg6O7. Values from VASP.

Computed properties:
The energy above the most stable polymorph in this dataset comes out at 0 meV/atom. The calculation puts the magnetization at 0.0000 μB per atom. The formation energy is -29.99 eV/f.u.

Cell and atoms, written as Quantum ESPRESSO input:
```
&SYSTEM
  ibrav = 0, nat = 15, ntyp = 4
/
ATOMIC_SPECIES
O 16.00 O.upf
Mg 24.30 Mg.upf
Rb 85.47 Rb.upf
Cs 132.91 Cs.upf
ATOMIC_POSITIONS crystal
O 0.0112 0.5000 0.0000
O 0.0112 0.0000 0.5000
O 0.4998 0.0000 0.5000
O 0.4998 0.5000 0.0000
O 0.7349 0.0000 0.0000
O 0.7551 0.5000 0.5000
O 0.2560 0.5000 0.5000
Mg 0.0021 0.5000 0.5000
Mg 0.5089 0.5000 0.5000
Mg 0.2527 0.5000 0.0000
Mg 0.7523 0.0000 0.5000
Mg 0.2527 0.0000 0.5000
Mg 0.7523 0.5000 0.0000
Rb 0.0281 0.0000 0.0000
Cs 0.4330 0.0000 0.0000
CELL_PARAMETERS angstrom
8.0157 0.0000 0.0000
0.0000 5.1155 0.0000
0.0000 0.0000 5.1155
```



(6)
DFT (PBE) results for a relaxed structure of KGdS2. Values from VASP.

Computed properties:
The formation energy is -8.51 eV/f.u.

Cell and atoms, written as Quantum ESPRESSO input:
```
&SYSTEM
  ibrav = 0, nat = 4, ntyp = 3
/
ATOMIC_SPECIES
S 32.06 S.upf
K 39.10 K.upf
Gd 157.25 Gd.upf
ATOMIC_POSITIONS crystal
S 0.7654 0.7654 0.7037
S 0.2346 0.2346 0.2963
K 0.0000 0.0000 0.0000
Gd 0.5000 0.5000 0.5000
CELL_PARAMETERS angstrom
2.0141 -3.4657 0.8282
3.2378 -1.0758 -2.2612
6.1630 2.1444 4.0999
```